# 1
Compound: Ba2Li3La3Mo8O32
Source: Materials Project
Functional: GGA+U
Structure: optimized geometry

Cell lengths 5.411, 7.126, 19.509 Å; angles 89.28, 89.65, 68.11 degrees
Positions (direct):
Ba 0.968 0.057 0.765
Ba 0.030 0.945 0.238
Li 0.689 0.627 0.758
Li 0.313 0.371 0.243
Li 0.850 0.289 0.963
La 0.857 0.294 0.537
La 0.147 0.709 0.028
La 0.143 0.707 0.465
Mo 0.562 0.883 0.905
Mo 0.556 0.877 0.595
Mo 0.434 0.121 0.093
Mo 0.444 0.122 0.405
Mo 0.274 0.475 0.657
Mo 0.262 0.472 0.846
Mo 0.727 0.525 0.344
Mo 0.741 0.525 0.154
O 0.291 0.709 0.679
O 0.001 0.695 0.816
O 0.707 0.292 0.320
O 0.998 0.301 0.185
O 0.606 0.287 0.638
O 0.112 0.288 0.857
O 0.395 0.712 0.361
O 0.897 0.708 0.142
O 0.102 0.513 0.572
O 0.391 0.517 0.927
O 0.900 0.486 0.428
O 0.607 0.489 0.074
O 0.061 0.398 0.710
O 0.518 0.403 0.779
O 0.935 0.602 0.289
O 0.478 0.597 0.219
O 0.455 0.828 0.823
O 0.719 0.822 0.675
O 0.544 0.172 0.176
O 0.281 0.178 0.325
O 0.692 0.078 0.892
O 0.235 0.074 0.606
O 0.302 0.923 0.108
O 0.766 0.925 0.394
O 0.272 0.962 0.961
O 0.768 0.963 0.539
O 0.728 0.030 0.041
O 0.232 0.037 0.461
O 0.812 0.672 0.950
O 0.529 0.663 0.548
O 0.193 0.341 0.053
O 0.472 0.337 0.452

- raw total energy (eV per cell) = -344.30
- formation energy (kJ per mole of atoms) = -246.09
- V (Å³/cell) = 698.0

# 2
Compound: Ba2La2MgMnW2O12
Source: Materials Project
Functional: GGA+U
Structure: optimized geometry

Cell lengths 10.033, 10.336, 10.336 Å; angles 33.04, 33.62, 33.62 degrees
Positions (direct):
Ba 0.150 0.126 0.126
Ba 0.850 0.874 0.874
La 0.305 0.276 0.276
La 0.695 0.724 0.724
Mg 0.500 0.500 0.500
Mn 0.000 0.000 0.000
W 0.450 0.386 0.386
W 0.550 0.614 0.614
O 0.860 0.413 0.413
O 0.703 0.367 0.849
O 0.140 0.587 0.587
O 0.213 0.811 0.811
O 0.297 0.151 0.633
O 0.787 0.189 0.189
O 0.382 0.384 0.864
O 0.297 0.633 0.151
O 0.382 0.864 0.384
O 0.703 0.849 0.367
O 0.618 0.616 0.136
O 0.618 0.136 0.616

- raw total energy (eV per cell) = -148.52
- formation energy (kJ per mole of atoms) = -277.60
- V (Å³/cell) = 289.6

# 3
Compound: Ba2La6Mg4Ti3WO24
Source: Materials Project
Functional: GGA+U
Structure: optimized geometry

Cell lengths 5.914, 5.914, 38.622 Å; angles 83.77, 83.77, 56.61 degrees
Positions (direct):
Ba 0.158 0.158 0.969
Ba 0.509 0.509 0.093
Ba 0.842 0.842 0.031
Ba 0.491 0.491 0.907
La 0.368 0.368 0.218
La 0.574 0.574 0.348
La 0.879 0.879 0.141
La 0.727 0.727 0.462
La 0.994 0.994 0.292
La 0.848 0.848 0.586
La 0.152 0.152 0.414
La 0.006 0.006 0.708
La 0.273 0.273 0.538
La 0.121 0.121 0.859
La 0.426 0.426 0.652
La 0.632 0.632 0.782
Mg 0.685 0.685 0.260
Mg 0.633 0.633 0.187
Mg 0.500 0.500 0.000
Mg 0.887 0.887 0.378
Mg 0.315 0.315 0.740
Mg 0.000 0.000 0.500
Mg 0.367 0.367 0.813
Mg 0.113 0.113 0.622
Ti 0.097 0.097 0.195
Ti 0.297 0.297 0.314
Ti 0.435 0.435 0.442
Ti 0.565 0.565 0.558
Ti 0.703 0.703 0.686
Ti 0.903 0.903 0.805
W 0.823 0.823 0.937
W 0.177 0.177 0.063
O 0.669 0.150 0.966
O 0.332 0.332 0.031
O 0.150 0.669 0.966
O 0.850 0.331 0.034
O 0.994 0.487 0.090
O 0.668 0.668 0.969
O 0.268 0.268 0.166
O 0.331 0.850 0.034
O 0.487 0.994 0.090
O 0.771 0.272 0.168
O 0.924 0.447 0.221
O 0.005 0.005 0.094
O 0.429 0.429 0.277
O 0.272 0.771 0.168
O 0.447 0.924 0.221
O 0.932 0.424 0.297
O 0.133 0.619 0.339
O 0.952 0.952 0.232
O 0.610 0.610 0.404
O 0.424 0.932 0.297
O 0.619 0.133 0.339
O 0.106 0.598 0.416
O 0.289 0.790 0.462
O 0.087 0.087 0.361
O 0.713 0.713 0.524
O 0.598 0.106 0.416
O 0.790 0.289 0.462
O 0.210 0.711 0.538
O 0.402 0.894 0.584
O 0.287 0.287 0.476
O 0.913 0.913 0.639
O 0.711 0.210 0.538
O 0.894 0.402 0.584
O 0.381 0.867 0.661
O 0.576 0.068 0.703
O 0.390 0.390 0.596
O 0.048 0.048 0.768
O 0.867 0.381 0.661
O 0.068 0.576 0.703
O 0.553 0.076 0.779
O 0.728 0.229 0.832
O 0.571 0.571 0.723
O 0.995 0.995 0.906
O 0.076 0.553 0.779
O 0.229 0.728 0.832
O 0.513 0.006 0.910
O 0.732 0.732 0.834
O 0.006 0.513 0.910

- raw total energy (eV per cell) = -623.93
- formation energy (kJ per mole of atoms) = -332.00
- V (Å³/cell) = 1119.1
- energy above the lowest structure with this stoichiometry (kJ/mol of atoms) = 0.0